A plane-wave DFT calculation with GGA-PBE was carried out for crystalline CsSnN at its relaxed geometry.

Cell lengths 3.592, 3.592, 13.354 Å; angles 90.00, 90.00, 120.00 degrees
Sites, in units of the cell vectors:
Cs1 0.333 0.667 0.000
Cs2 0.667 0.333 0.500
Sn1 0.000 0.000 0.258
Sn2 0.000 0.000 0.758
N1 0.333 0.667 0.335
N2 0.667 0.333 0.835

Values from the calculation:
Formation energy from the elements = 0.11 eV/f.u.
ρ = 5.91 g/cm3
Uncorrected energy = -25.54 eV for the cell shown

A plane-wave DFT calculation with GGA-PBE was carried out for crystalline CsVN2 at its relaxed geometry.

Cell lengths 5.942, 5.942, 5.942 Å; angles 60.00, 60.00, 60.00 degrees
Sites, in units of the cell vectors:
Cs1 0.125 0.125 0.125
Cs2 0.875 0.875 0.875
V1 0.375 0.375 0.375
V2 0.625 0.625 0.625
N1 0.000 0.500 0.500
N2 0.500 0.000 0.500
N3 0.500 0.500 0.000
N4 0.500 0.500 0.500

Values from the calculation:
Formation energy from the elements = -3.66 eV/f.u.
ρ = 4.74 g/cm3
Uncorrected energy = -59.19 eV for the cell shown

A plane-wave DFT calculation with GGA-PBE was carried out for crystalline Cs6WN4 at its relaxed geometry.

Cell lengths 8.947, 8.947, 7.925 Å; angles 90.00, 90.00, 90.00 degrees
Sites, in units of the cell vectors:
Cs1 0.039 0.539 0.250
Cs2 0.039 0.961 0.250
Cs3 0.250 0.250 0.013
Cs4 0.250 0.250 0.513
Cs5 0.461 0.539 0.250
Cs6 0.461 0.961 0.250
Cs7 0.539 0.039 0.750
Cs8 0.539 0.461 0.750
Cs9 0.750 0.750 0.487
Cs10 0.750 0.750 0.987
Cs11 0.961 0.039 0.750
Cs12 0.961 0.461 0.750
W1 0.250 0.750 0.750
W2 0.750 0.250 0.250
N1 0.068 0.750 0.621
N2 0.250 0.568 0.879
N3 0.250 0.932 0.879
N4 0.432 0.750 0.621
N5 0.568 0.250 0.379
N6 0.750 0.068 0.121
N7 0.750 0.432 0.121
N8 0.932 0.250 0.379

Values from the calculation:
Formation energy from the elements = -1.15 eV/f.u.
ρ = 5.43 g/cm3
Uncorrected energy = -102.77 eV for the cell shown

A plane-wave DFT calculation with GGA-PBE was carried out for crystalline Cs15W7N19 at its relaxed geometry.

Cell lengths 7.752, 13.263, 20.281 Å; angles 89.25, 85.58, 81.36 degrees
Sites, in units of the cell vectors:
Cs1 0.000 0.000 0.000
Cs2 0.004 0.876 0.568
Cs3 0.044 0.067 0.720
Cs4 0.138 0.375 0.340
Cs5 0.151 0.096 0.154
Cs6 0.159 0.590 0.477
Cs7 0.170 0.493 0.812
Cs8 0.211 0.417 0.001
Cs9 0.211 0.767 0.730
Cs10 0.224 0.241 0.591
Cs11 0.379 0.607 0.104
Cs12 0.383 0.322 0.171
Cs13 0.439 0.462 0.634
Cs14 0.480 0.158 0.986
Cs15 0.491 0.817 0.220
Cs16 0.500 0.000 0.500
Cs17 0.509 0.183 0.780
Cs18 0.520 0.842 0.014
Cs19 0.561 0.538 0.366
Cs20 0.617 0.678 0.829
Cs21 0.621 0.393 0.896
Cs22 0.776 0.759 0.409
Cs23 0.789 0.233 0.270
Cs24 0.789 0.583 0.999
Cs25 0.830 0.507 0.188
Cs26 0.841 0.410 0.523
Cs27 0.849 0.904 0.846
Cs28 0.862 0.625 0.660
Cs29 0.956 0.933 0.280
Cs30 0.996 0.124 0.432
W1 0.056 0.224 0.881
W2 0.146 0.648 0.273
W3 0.169 0.725 0.941
W4 0.268 0.838 0.397
W5 0.331 0.961 0.855
W6 0.416 0.076 0.316
W7 0.461 0.732 0.559
W8 0.539 0.268 0.441
W9 0.584 0.924 0.684
W10 0.669 0.039 0.145
W11 0.732 0.162 0.603
W12 0.831 0.275 0.059
W13 0.854 0.352 0.727
W14 0.944 0.776 0.119
N1 0.002 0.317 0.104
N2 0.039 0.401 0.684
N3 0.050 0.895 0.424
N4 0.078 0.724 0.191
N5 0.082 0.756 0.035
N6 0.151 0.082 0.864
N7 0.209 0.138 0.291
N8 0.235 0.295 0.884
N9 0.240 0.846 0.894
N10 0.248 0.735 0.335
N11 0.286 0.671 0.600
N12 0.312 0.539 0.249
N13 0.346 0.365 0.457
N14 0.357 0.624 0.939
N15 0.383 0.785 0.473
N16 0.388 0.946 0.355
N17 0.419 0.940 0.764
N18 0.492 0.016 0.098
N19 0.497 0.162 0.378
N20 0.503 0.838 0.622
N21 0.508 0.984 0.902
N22 0.581 0.060 0.236
N23 0.612 0.054 0.645
N24 0.617 0.215 0.527
N25 0.643 0.376 0.061
N26 0.654 0.635 0.543
N27 0.688 0.461 0.751
N28 0.714 0.329 0.400
N29 0.752 0.265 0.665
N30 0.760 0.154 0.106
N31 0.765 0.705 0.116
N32 0.791 0.862 0.709
N33 0.849 0.918 0.136
N34 0.918 0.244 0.965
N35 0.922 0.276 0.809
N36 0.950 0.105 0.576
N37 0.961 0.599 0.316
N38 0.998 0.683 0.896

Values from the calculation:
Formation energy from the elements = -24.12 eV/f.u.
ρ = 5.73 g/cm3
Uncorrected energy = -559.59 eV for the cell shown

A plane-wave DFT calculation with GGA-PBE was carried out for crystalline CsNa3 at its relaxed geometry.

Cell lengths 9.462, 9.462, 9.462 Å; angles 90.00, 90.00, 90.00 degrees
Sites, in units of the cell vectors:
Cs1 0.000 0.000 0.000
Cs2 0.000 0.500 0.500
Cs3 0.500 0.000 0.500
Cs4 0.500 0.500 0.000
Na1 0.000 0.000 0.500
Na2 0.000 0.500 0.000
Na3 0.250 0.250 0.250
Na4 0.250 0.250 0.750
Na5 0.250 0.750 0.250
Na6 0.250 0.750 0.750
Na7 0.500 0.000 0.000
Na8 0.500 0.500 0.500
Na9 0.750 0.250 0.250
Na10 0.750 0.250 0.750
Na11 0.750 0.750 0.250
Na12 0.750 0.750 0.750

Values from the calculation:
Formation energy from the elements = 0.33 eV/f.u.
ρ = 1.58 g/cm3
Uncorrected energy = -18.13 eV for the cell shown

A plane-wave DFT calculation with GGA-PBE was carried out for crystalline CsNaSi2O5 at its relaxed geometry.

Cell lengths 17.398, 4.986, 13.567 Å; angles 90.00, 90.00, 90.00 degrees
Sites, in units of the cell vectors:
Cs1 0.017 0.247 0.000
Cs2 0.234 0.737 0.365
Cs3 0.266 0.237 0.865
Cs4 0.483 0.747 0.500
Cs5 0.517 0.253 0.000
Cs6 0.734 0.763 0.365
Cs7 0.766 0.263 0.865
Cs8 0.983 0.753 0.500
Na1 0.096 0.244 0.271
Na2 0.154 0.739 0.093
Na3 0.346 0.239 0.593
Na4 0.404 0.744 0.771
Na5 0.596 0.256 0.271
Na6 0.654 0.761 0.093
Na7 0.846 0.261 0.593
Na8 0.904 0.756 0.771
Si1 0.025 0.275 0.722
Si2 0.105 0.770 0.817
Si3 0.145 0.223 0.547
Si4 0.224 0.718 0.643
Si5 0.276 0.218 0.143
Si6 0.355 0.723 0.047
Si7 0.395 0.270 0.317
Si8 0.475 0.775 0.222
Si9 0.525 0.225 0.722
Si10 0.605 0.730 0.817
Si11 0.645 0.277 0.547
Si12 0.724 0.782 0.643
Si13 0.776 0.282 0.143
Si14 0.855 0.777 0.047
Si15 0.895 0.230 0.317
Si16 0.975 0.725 0.222
O1 0.035 0.586 0.766
O2 0.063 0.803 0.219
O3 0.064 0.278 0.610
O4 0.079 0.086 0.794
O5 0.116 0.723 0.932
O6 0.132 0.270 0.433
O7 0.170 0.907 0.571
O8 0.185 0.716 0.754
O9 0.188 0.298 0.146
O10 0.214 0.408 0.598
O11 0.286 0.908 0.098
O12 0.312 0.798 0.646
O13 0.315 0.216 0.254
O14 0.330 0.407 0.071
O15 0.368 0.770 0.933
O16 0.384 0.223 0.432
O17 0.421 0.586 0.294
O18 0.436 0.778 0.110
O19 0.437 0.303 0.719
O20 0.465 0.086 0.266
O21 0.535 0.914 0.766
O22 0.563 0.697 0.219
O23 0.564 0.222 0.610
O24 0.579 0.414 0.794
O25 0.616 0.777 0.932
O26 0.632 0.230 0.433
O27 0.670 0.593 0.571
O28 0.685 0.784 0.754
O29 0.688 0.202 0.146
O30 0.714 0.092 0.598
O31 0.786 0.592 0.098
O32 0.812 0.702 0.646
O33 0.815 0.284 0.254
O34 0.830 0.093 0.071
O35 0.868 0.730 0.933
O36 0.884 0.277 0.432
O37 0.921 0.914 0.294
O38 0.936 0.722 0.110
O39 0.937 0.197 0.719
O40 0.965 0.414 0.266

Values from the calculation:
Formation energy from the elements = -26.18 eV/f.u.
ρ = 3.30 g/cm3
Uncorrected energy = -484.41 eV for the cell shown